(1)
Computed, not measured: Mg3V2Ge3O12 after structural relaxation at the PBE with a Hubbard U level of DFT.

Values from the calculation:
The corrected total energy (MP2020 scheme) is -1160.7 eV/cell. For the formation energy, the calculation gives -2.4434 eV per atom.

abc: 12.132 12.132 12.132
angles: 90.00 90.00 90.00
Space group Ia-3d (No. 230)
Unique sites:
1 Mg 0.000 0.250 0.125 x24
2 V 0.000 0.000 0.000 x16
3 Ge 0.000 0.250 0.375 x24
4 O 0.028 0.055 0.655 x96

---

(2)
Computed, not measured: Li9Mn2Co5O16 after structural relaxation at the PBE with a Hubbard U level of DFT.

Values from the calculation:
The corrected total energy (MP2020 scheme) is -209.0 eV/cell. For the formation energy, the calculation gives -1.8367 eV per atom.

abc: 5.885 5.902 8.606
angles: 88.08 70.69 86.81
Space group P-1 (No. 2)
Unique sites:
1 Li 0.000 0.000 0.000 x1
2 Li 0.000 0.500 0.000 x1
3 Li 0.122 0.246 0.246 x2
4 Li 0.249 0.999 0.502 x2
5 Li 0.365 0.754 0.759 x2
6 Li 0.500 0.500 0.000 x1
7 Mn 0.125 0.754 0.245 x2
8 Co 0.248 0.498 0.499 x2
9 Co 0.371 0.243 0.751 x2
10 Co 0.500 0.000 0.000 x1
11 O 0.023 0.736 0.488 x2
12 O 0.113 0.013 0.748 x2
13 O 0.118 0.472 0.742 x2
14 O 0.243 0.747 0.014 x2
15 O 0.280 0.233 0.981 x2
16 O 0.359 0.507 0.264 x2
17 O 0.364 0.973 0.245 x2
18 O 0.479 0.265 0.514 x2

---

(3)
Computed, not measured: BaCaYVO6 after structural relaxation at the PBE with a Hubbard U level of DFT.

Values from the calculation:
The corrected total energy (MP2020 scheme) is -320.2 eV/cell. For the formation energy, the calculation gives -3.0887 eV per atom.

abc: 8.250 8.250 8.250
angles: 90.00 90.00 90.00
Space group F-43m (No. 216)
Unique sites:
1 Ba 0.000 0.000 0.000 x4
2 Ca 0.000 0.000 0.500 x4
3 Y 0.250 0.250 0.250 x4
4 V 0.250 0.250 0.750 x4
5 O 0.019 0.250 0.750 x24

---

(4)
Computed, not measured: KInMo2O8 after structural relaxation at the PBE with a Hubbard U level of DFT.

Values from the calculation:
The corrected total energy (MP2020 scheme) is -359.6 eV/cell. For the formation energy, the calculation gives -2.0631 eV per atom.

abc: 15.067 5.987 8.888
angles: 90.00 90.00 90.00
Space group Pnma (No. 62)
Unique sites:
1 K 0.124 0.250 0.047 x4
2 In 0.106 0.750 0.695 x4
3 Mo 0.038 0.750 0.283 x4
4 Mo 0.216 0.250 0.497 x4
5 O 0.019 0.006 0.795 x8
6 O 0.034 0.750 0.484 x4
7 O 0.140 0.250 0.350 x4
8 O 0.148 0.750 0.218 x4
9 O 0.174 0.750 0.909 x4
10 O 0.196 0.502 0.605 x8

---

(5)
Computed, not measured: K2RbTbMgV2O8 after structural relaxation at the PBE with a Hubbard U level of DFT.

Values from the calculation:
The corrected total energy (MP2020 scheme) is -210.3 eV/cell. For the formation energy, the calculation gives -2.5318 eV per atom.

abc: 10.809 6.070 7.879
angles: 90.00 96.09 90.00
Space group Cm (No. 8)
Unique sites:
1 K 0.000 0.000 0.000 x2
2 K 0.242 0.500 0.341 x2
3 Rb 0.288 0.000 0.738 x2
4 Tb 0.344 0.000 0.180 x2
5 Mg 0.018 0.500 0.533 x2
6 V 0.041 0.000 0.454 x2
7 V 0.156 0.500 0.927 x2
8 O 0.006 0.500 0.007 x2
9 O 0.033 0.000 0.672 x2
10 O 0.161 0.500 0.696 x2
11 O 0.190 0.000 0.367 x2
12 O 0.246 0.265 0.025 x4
13 O 0.456 0.237 0.379 x4

---

(6)
Computed, not measured: Mn3O4 after structural relaxation at the PBE with a Hubbard U level of DFT.

Values from the calculation:
The corrected total energy (MP2020 scheme) is -241.3 eV/cell. For the formation energy, the calculation gives -1.8643 eV per atom.

abc: 2.884 11.499 14.951
angles: 90.00 90.59 90.00
Space group P2_1 (No. 4)
Unique sites:
1 Mn 0.007 0.000 0.000 x2
2 Mn 0.033 0.249 0.498 x2
3 Mn 0.092 0.271 0.698 x2
4 Mn 0.099 0.496 0.795 x2
5 Mn 0.464 0.511 0.221 x2
6 Mn 0.477 0.264 0.275 x2
7 O 0.022 0.656 0.743 x2
8 O 0.026 0.889 0.748 x2
9 O 0.038 0.120 0.768 x2
10 O 0.399 0.887 0.256 x2
11 O 0.457 0.738 0.413 x2
12 O 0.474 0.766 0.584 x2
13 O 0.493 0.514 0.912 x2
14 O 0.495 0.483 0.082 x2

---

(7)
Computed, not measured: MgMn6O4F8 after structural relaxation at the PBE with a Hubbard U level of DFT.

Values from the calculation:
The corrected total energy (MP2020 scheme) is -140.6 eV/cell. For the formation energy, the calculation gives -2.5732 eV per atom.

abc: 5.486 6.070 8.186
angles: 83.16 79.81 84.86
Space group P1 (No. 1)
Unique sites:
1 Mg 0.000 0.000 0.000 x1
2 Mn 0.001 0.495 0.002 x1
3 Mn 0.013 0.814 0.644 x1
4 Mn 0.423 0.297 0.662 x1
5 Mn 0.497 0.997 0.018 x1
6 Mn 0.677 0.671 0.361 x1
7 Mn 0.948 0.168 0.363 x1
8 O 0.255 0.232 0.906 x1
9 O 0.707 0.361 0.470 x1
10 O 0.753 0.757 0.115 x1
11 O 0.800 0.902 0.464 x1
12 F 0.113 0.425 0.235 x1
13 F 0.182 0.973 0.206 x1
14 F 0.203 0.108 0.547 x1
15 F 0.231 0.770 0.898 x1
16 F 0.329 0.629 0.546 x1
17 F 0.758 0.219 0.111 x1
18 F 0.793 0.032 0.815 x1
19 F 0.855 0.548 0.789 x1

---

(8)
Computed, not measured: Mg30CrSnO32 after structural relaxation at the PBE with a Hubbard U level of DFT.

Values from the calculation:
The corrected total energy (MP2020 scheme) is -406.6 eV/cell. For the formation energy, the calculation gives -2.9159 eV per atom.

abc: 8.588 8.588 8.657
angles: 90.00 90.00 90.00
Space group P4/mmm (No. 123)
Unique sites:
1 Mg 0.000 0.000 0.000 x1
2 Mg 0.000 0.249 0.248 x8
3 Mg 0.000 0.500 0.000 x2
4 Mg 0.000 0.500 0.500 x2
5 Mg 0.246 0.500 0.245 x8
6 Mg 0.247 0.247 0.500 x4
7 Mg 0.250 0.250 0.000 x4
8 Mg 0.500 0.500 0.000 x1
9 Cr 0.000 0.000 0.500 x1
10 Sn 0.500 0.500 0.500 x1
11 O 0.000 0.000 0.235 x2
12 O 0.000 0.248 0.500 x4
13 O 0.000 0.252 0.000 x4
14 O 0.000 0.500 0.247 x4
15 O 0.230 0.500 0.500 x4
16 O 0.247 0.500 0.000 x4
17 O 0.250 0.250 0.251 x8
18 O 0.500 0.500 0.230 x2